The following is a GGA+U calculation of HoSbMo2O9 after structural relaxation, from the Materials Project database.

Cell: 9.6730 9.6730 10.8204 Å, 68.05 68.05 95.20°
Closest atoms and distances in Å follow each position.
Element x y z (fractional)
O  0.6363  0.7913  0.7987  1 Mo 1.84, 1 Sb 2.02
O  0.7913  0.6363  0.2987  1 Mo 1.84, 1 Sb 2.02
O  0.8547  0.3790  0.2265  1 Mo 1.77
O  0.9334  0.9048  0.3976  1 Mo 1.76
O  0.4234  0.5403  0.1021  2 Sb 2.02-2.11
O  0.7015  0.1310  0.9320  1 Mo 1.79
O  0.0952  0.0666  0.1024  1 Mo 1.76
O  0.5544  0.0931  0.7512  1 Mo 1.78
O  0.6962  0.0226  0.5017  1 Mo 1.78
O  0.5766  0.4597  0.8979  2 Sb 2.02-2.11
O  0.7776  0.5946  0.5795  1 Mo 1.86
O  0.4597  0.5766  0.3979  2 Sb 2.02-2.11
O  0.9048  0.9334  0.8976  1 Mo 1.76
O  0.2204  0.0431  0.8250  1 Mo 1.80
O  0.5403  0.4234  0.6021  2 Sb 2.02-2.11
O  0.0431  0.2204  0.3250  1 Mo 1.80
O  0.2087  0.3637  0.7013  1 Mo 1.84, 1 Sb 2.02
O  0.3038  0.9774  0.4983  1 Mo 1.78
O  0.4054  0.2224  0.9205  1 Mo 1.86
O  0.2224  0.4054  0.4205  1 Mo 1.86
O  0.6210  0.1453  0.2735  1 Mo 1.77
O  0.3637  0.2087  0.2013  1 Mo 1.84, 1 Sb 2.02
O  0.1453  0.6210  0.7735  1 Mo 1.77
O  0.7796  0.9569  0.1750  1 Mo 1.80
O  0.0226  0.6962  0.0017  1 Mo 1.78
O  0.9774  0.3038  0.9983  1 Mo 1.78
O  0.0666  0.0952  0.6024  1 Mo 1.76
O  0.9569  0.7796  0.6750  1 Mo 1.80
O  0.0931  0.5544  0.2512  1 Mo 1.78
O  0.4456  0.9069  0.2488  1 Mo 1.78
O  0.1310  0.7015  0.4320  1 Mo 1.79
O  0.8690  0.2985  0.5680  1 Mo 1.79
O  0.2985  0.8690  0.0680  1 Mo 1.79
O  0.5946  0.7776  0.0795  1 Mo 1.86
O  0.9069  0.4456  0.7488  1 Mo 1.78
O  0.3790  0.8547  0.7265  1 Mo 1.77
Mo  0.0462  0.2598  0.4741  4 O 1.76-1.86
Mo  0.9422  0.5659  0.1937  4 O 1.77-1.84
Mo  0.7402  0.9538  0.0259  4 O 1.76-1.86
Mo  0.9538  0.7402  0.5259  4 O 1.76-1.86
Mo  0.2598  0.0462  0.9741  4 O 1.76-1.86
Mo  0.4341  0.0578  0.3063  4 O 1.77-1.84
Mo  0.0578  0.4341  0.8063  4 O 1.77-1.84
Mo  0.5659  0.9422  0.6937  4 O 1.77-1.84
Sb  0.3822  0.3480  0.5347  3 O 2.02-2.11
Sb  0.6520  0.6178  0.9653  3 O 2.02-2.11
Sb  0.3480  0.3822  0.0347  3 O 2.02-2.11
Sb  0.6178  0.6520  0.4653  3 O 2.02-2.11
Ho  0.3290  0.6710  0.2500  8 O 2.31-2.45
Ho  0.8743  0.1257  0.2500  8 O 2.33-2.41
Ho  0.1257  0.8743  0.7500  8 O 2.33-2.41
Ho  0.6710  0.3290  0.7500  8 O 2.31-2.45

## Properties
Calculated total energy: -93.3 eV per formula unit
Formation enthalpy at 0 K: -2.378 eV/atom

---

The following is a GGA+U calculation of TiZnNiP3O12 after structural relaxation, from the Materials Project database.

Cell: 8.5278 8.5278 8.5278 Å, 60.59 60.59 60.59°
Closest atoms and distances in Å follow each position.
Element x y z (fractional)
Ti  0.8562  0.8562  0.8562  6 O 1.88-2.07
Ti  0.3562  0.3562  0.3562  6 O 1.88-2.07
Zn  0.5035  0.5035  0.5035  6 O 2.14-2.23
Zn  0.0035  0.0035  0.0035  6 O 2.14-2.23
P  0.4548  0.7509  0.0425  4 O 1.51-1.57
P  0.2509  0.9548  0.5425  4 O 1.51-1.57
P  0.0425  0.4548  0.7509  4 O 1.51-1.57
P  0.7509  0.0425  0.4548  4 O 1.51-1.57
P  0.5425  0.2509  0.9548  4 O 1.51-1.57
P  0.9548  0.5425  0.2509  4 O 1.51-1.57
O  0.7399  0.0875  0.9454  1 P 1.57
O  0.6919  0.8856  0.4861  1 P 1.51
O  0.8856  0.4861  0.6919  1 P 1.51
O  0.9454  0.7399  0.0875  1 P 1.57
O  0.2598  0.9131  0.0591  1 P 1.55
O  0.4861  0.6919  0.8856  1 P 1.51
O  0.8137  0.9960  0.6203  1 P 1.56
O  0.2399  0.4454  0.5875  1 P 1.57
O  0.5875  0.2399  0.4454  1 P 1.57
O  0.1203  0.4960  0.3137  1 P 1.56
O  0.3856  0.1919  0.9861  1 P 1.51
O  0.4131  0.7598  0.5591  1 P 1.55
O  0.4960  0.3137  0.1203  1 P 1.56
O  0.9861  0.3856  0.1919  1 P 1.51
O  0.3137  0.1203  0.4960  1 P 1.56
O  0.6203  0.8137  0.9960  1 P 1.56
O  0.7598  0.5591  0.4131  1 P 1.55
O  0.1919  0.9861  0.3856  1 P 1.51
O  0.5591  0.4131  0.7598  1 P 1.55
O  0.0875  0.9454  0.7399  1 P 1.57
O  0.4454  0.5875  0.2399  1 P 1.57
O  0.9131  0.0591  0.2598  1 P 1.55
O  0.9960  0.6203  0.8137  1 P 1.56
O  0.0591  0.2598  0.9131  1 P 1.55
Ni  0.1436  0.1436  0.1436  6 O 1.95-2.04
Ni  0.6436  0.6436  0.6436  6 O 1.95-2.04

## Properties
Calculated total energy: -124.5 eV per formula unit
Formation enthalpy at 0 K: -2.487 eV/atom

---

The following is a GGA+U calculation of Li2CoSiO4 after structural relaxation, from the Materials Project database.

Cell: 5.2349 10.2557 13.3957 Å, 90.00 90.00 90.00°
Closest atoms and distances in Å follow each position.
Element x y z (fractional)
O  0.7983  0.4866  0.6898  1 Si 1.66
O  0.2762  0.1778  0.4862  1 Si 1.64
O  0.1594  0.8251  0.4986  1 Si 1.64
O  0.4346  0.8105  0.1900  1 Si 1.66
O  0.8496  0.4200  0.9192  1 Si 1.64
O  0.2017  0.5134  0.1898  1 Si 1.66
O  0.5654  0.1895  0.6899  1 Si 1.66
O  0.6384  0.5396  0.0931  1 Si 1.65
O  0.5654  0.3105  0.1900  1 Si 1.66
O  0.8406  0.1749  0.9986  1 Si 1.64
O  0.7983  0.0134  0.1898  1 Si 1.66
O  0.6384  0.9604  0.5931  1 Si 1.65
O  0.2017  0.9866  0.6898  1 Si 1.66
O  0.1504  0.9200  0.9192  1 Si 1.64
O  0.3650  0.4768  0.7973  1 Si 1.66
O  0.2762  0.3222  0.9862  1 Si 1.64
O  0.3616  0.4604  0.5931  1 Si 1.65
O  0.3616  0.0396  0.0931  1 Si 1.65
O  0.9338  0.7204  0.8215  1 Si 1.66
O  0.7238  0.6778  0.4862  1 Si 1.64
O  0.8496  0.0800  0.4192  1 Si 1.64
O  0.0662  0.2796  0.3215  1 Si 1.66
O  0.4346  0.6895  0.6899  1 Si 1.66
O  0.0662  0.2204  0.8215  1 Si 1.66
O  0.8406  0.3251  0.4986  1 Si 1.64
O  0.7238  0.8222  0.9862  1 Si 1.64
O  0.1594  0.6749  0.9986  1 Si 1.64
O  0.6350  0.9768  0.7973  1 Si 1.66
O  0.6350  0.5232  0.2973  1 Si 1.66
O  0.1504  0.5800  0.4192  1 Si 1.64
O  0.3650  0.0232  0.2973  1 Si 1.66
O  0.9338  0.7796  0.3215  1 Si 1.66
Li  0.0000  0.9865  0.5533  4 O 1.99-2.18
Li  0.0000  0.5135  0.0533  4 O 1.99-2.18
Li  0.1133  0.7932  0.7054  3 O 1.96-2.05
Li  0.8867  0.2932  0.7054  3 O 1.96-2.05
Li  0.5932  0.7864  0.7992  3 O 1.93-1.97
Li  0.1133  0.7068  0.2054  3 O 1.96-2.05
Li  0.5004  0.5311  0.4469  3 O 1.94-2.12
Li  0.5004  0.9689  0.9469  3 O 1.94-2.12
Li  0.0000  0.0135  0.0533  4 O 1.99-2.18
Li  0.4996  0.4689  0.9469  3 O 1.94-2.12
Li  0.4068  0.2864  0.7992  3 O 1.93-1.97
Li  0.8867  0.2068  0.2054  3 O 1.96-2.05
Li  0.0000  0.4865  0.5533  4 O 1.99-2.18
Li  0.5932  0.7136  0.2992  3 O 1.93-1.97
Li  0.4068  0.2136  0.2992  3 O 1.93-1.97
Li  0.4996  0.0311  0.4469  3 O 1.94-2.12
Si  0.0038  0.2176  0.4337  4 O 1.64-1.66
Si  0.5071  0.4698  0.1914  4 O 1.65-1.66
Si  0.9962  0.7176  0.4337  4 O 1.64-1.66
Si  0.4929  0.9698  0.1914  4 O 1.65-1.66
Si  0.0038  0.2824  0.9337  4 O 1.64-1.66
Si  0.5071  0.0302  0.6914  4 O 1.65-1.66
Si  0.9962  0.7824  0.9337  4 O 1.64-1.66
Si  0.4929  0.5302  0.6914  4 O 1.65-1.66
Co  0.4911  0.7865  0.5623  4 O 1.94-2.00
Co  0.5089  0.2135  0.0623  4 O 1.94-2.00
Co  0.0004  0.9686  0.3122  4 O 1.97-2.00
Co  0.4911  0.7135  0.0623  4 O 1.94-2.00
Co  0.9996  0.4686  0.3122  4 O 1.97-2.00
Co  0.0004  0.5314  0.8122  4 O 1.97-2.00
Co  0.5089  0.2865  0.5623  4 O 1.94-2.00
Co  0.9996  0.0314  0.8122  4 O 1.97-2.00

## Properties
Calculated total energy: -51.3 eV per formula unit
Relative energy among the computed polymorphs: 0.070 eV per atom
Formation enthalpy at 0 K: -2.444 eV/atom

---

The following is a GGA+U calculation of Mn2F5 after structural relaxation, from the Materials Project database.

Cell: 6.8355 6.8355 5.3822 Å, 82.83 82.83 41.76°
Closest atoms and distances in Å follow each position.
Element x y z (fractional)
F  0.0232  0.9768  0.2500  2 Mn 2.20
F  0.6529  0.5432  0.1056  2 Mn 1.97-1.98
F  0.9768  0.0232  0.7500  2 Mn 2.20
F  0.3471  0.4568  0.8944  2 Mn 1.97-1.98
F  0.1377  0.2687  0.6684  2 Mn 2.03-2.05
F  0.5432  0.6529  0.6056  2 Mn 1.97-1.98
F  0.8623  0.7313  0.3316  2 Mn 2.03-2.05
F  0.2687  0.1377  0.1684  2 Mn 2.03-2.05
F  0.4568  0.3471  0.3944  2 Mn 1.97-1.98
F  0.7313  0.8623  0.8316  2 Mn 2.03-2.05
Mn  0.0980  0.6564  0.6007  5 F 1.97-2.20
Mn  0.6564  0.0980  0.1007  5 F 1.97-2.20
Mn  0.3436  0.9020  0.8993  5 F 1.97-2.20
Mn  0.9020  0.3436  0.3993  5 F 1.97-2.20

## Properties
Calculated total energy: -41.7 eV per formula unit
Formation enthalpy at 0 K: -2.777 eV/atom